# PBE Na3ScBr6, relaxed
# total magnetization: 0.0 μB/f.u.
# VASP energy: -35.14 eV/f.u.
# crystal system: cubic
# corrected total energy (MP2020 scheme): -38.34 eV per formula unit
# formation energy: -176 kJ/mol of atoms
data_Na3ScBr6
_chemical_formula_sum 'Na12 Sc4 Br24'
_cell_length_a 10.9817
_cell_length_b 10.9817
_cell_length_c 10.9817
_cell_angle_alpha 90.00
_cell_angle_beta 90.00
_cell_angle_gamma 90.00
_space_group_name_H-M_alt 'F m -3 m'
_space_group_IT_number 225
_space_group_name_Hall '-F 4 2 3'
loop_
_atom_site_label
_atom_site_type_symbol
_atom_site_fract_x
_atom_site_fract_y
_atom_site_fract_z
_atom_site_occupancy
Na1 Na 0.0000 0.0000 0.0000 1
Na2 Na 0.2500 0.2500 0.2500 1
Sc1 Sc 0.0000 0.0000 0.5000 1
Br1 Br 0.0000 0.0000 0.2595 1

***

# PBE Ca5FePb3, relaxed
# total magnetization: 2.3 μB/f.u.
# VASP energy: -31.84 eV/f.u.
# crystal system: hexagonal
# formation energy: -24 kJ/mol of atoms
data_Ca5FePb3
_chemical_formula_sum 'Ca10 Fe2 Pb6'
_cell_length_a 9.6001
_cell_length_b 9.6001
_cell_length_c 6.6949
_cell_angle_alpha 90.00
_cell_angle_beta 90.00
_cell_angle_gamma 120.00
_space_group_name_H-M_alt 'P 63/m c m'
_space_group_IT_number 193
_space_group_name_Hall '-P 6c 2'
loop_
_atom_site_label
_atom_site_type_symbol
_atom_site_fract_x
_atom_site_fract_y
_atom_site_fract_z
_atom_site_occupancy
Ca1 Ca 0.0000 0.2713 0.2500 1
Ca2 Ca 0.3333 0.6667 0.0000 1
Fe1 Fe 0.0000 0.0000 0.0000 1
Pb1 Pb 0.0000 0.3831 0.7500 1

***

# PBE Ba3SiO, relaxed
# total magnetization: 0.0 μB/f.u.
# VASP energy: -21.84 eV/f.u.
# crystal system: cubic
# corrected total energy (MP2020 scheme): -22.53 eV per formula unit
# formation energy: -123 kJ/mol of atoms
data_Ba3SiO
_chemical_formula_sum 'Ba3 Si1 O1'
_cell_length_a 5.4238
_cell_length_b 5.4238
_cell_length_c 5.4238
_cell_angle_alpha 90.00
_cell_angle_beta 90.00
_cell_angle_gamma 90.00
_space_group_name_H-M_alt 'P m -3 m'
_space_group_IT_number 221
_space_group_name_Hall '-P 4 2 3'
loop_
_atom_site_label
_atom_site_type_symbol
_atom_site_fract_x
_atom_site_fract_y
_atom_site_fract_z
_atom_site_occupancy
Ba1 Ba 0.0000 0.0000 0.5000 1
Si1 Si 0.5000 0.5000 0.5000 1
O1 O 0.0000 0.0000 0.0000 1

***

# PBE ZnSb2P2O9, relaxed
# total magnetization: 0.0 μB/f.u.
# VASP energy: -90.07 eV/f.u.
# crystal system: orthorhombic
# corrected total energy (MP2020 scheme): -96.26 eV per formula unit
# formation energy: -216 kJ/mol of atoms
data_ZnSb2P2O9
_chemical_formula_sum 'Zn4 Sb8 P8 O36'
_cell_length_a 6.2919
_cell_length_b 7.5030
_cell_length_c 18.0841
_cell_angle_alpha 90.00
_cell_angle_beta 90.00
_cell_angle_gamma 90.00
_space_group_name_H-M_alt 'P 21 21 21'
_space_group_IT_number 19
_space_group_name_Hall 'P 2ac 2ab'
loop_
_atom_site_label
_atom_site_type_symbol
_atom_site_fract_x
_atom_site_fract_y
_atom_site_fract_z
_atom_site_occupancy
Zn1 Zn 0.0579 0.0695 0.0052 1
Sb1 Sb 0.0519 0.6960 0.1945 1
Sb2 Sb 0.1101 0.5182 0.8547 1
P1 P 0.0519 0.4786 0.0268 1
P2 P 0.0701 0.9714 0.8308 1
O1 O 0.0040 0.7747 0.8578 1
O2 O 0.0598 0.2938 0.0618 1
O3 O 0.0648 0.6269 0.0869 1
O4 O 0.0801 0.0929 0.8966 1
O5 O 0.0903 0.4210 0.3332 1
O6 O 0.0932 0.5365 0.7264 1
O7 O 0.1435 0.0125 0.5239 1
O8 O 0.2117 0.0441 0.2889 1
O9 O 0.2504 0.4896 0.4732 1